# 1
# Tb2Si5Os3

A relaxed Tb2Si5Os3 crystal (GGA-PBE, the Materials Project database).

Results
space-group type	No. 128

Geometry as extended XYZ:
```
40
Lattice="-9.3004 -3.1188 -4.3916 4.9652 -1.5672 -9.4021 1.1073 -5.3906 1.4833" Properties=species:S:1:pos:R:3 pbc="T T T"
Tb -1.9414 -6.5363 -11.3551
Tb -2.6812 -1.7541 -4.3731
Tb 0.3726 -1.7190 -6.5255
Tb -1.6539 -2.9319 -9.4206
Tb -1.2865 -3.5402 -0.9554
Tb 3.6939 -4.1133 -6.7559
Tb -4.7078 -2.9669 -7.2683
Tb -6.9218 -5.9633 -5.5545
Si -1.3447 -6.3493 -5.7945
Si -7.4672 -3.5386 -7.2858
Si 3.1321 -1.1474 -6.5079
Si -5.1227 -3.7169 -4.2091
Si -4.5690 -6.4122 -3.4674
Si 1.8947 -6.3596 -8.1014
Si 1.3411 -3.6643 -8.8430
Si -2.8466 -1.0393 -1.6522
Si 0.8380 -4.0796 1.1225
Si -1.8832 -3.7273 -6.5160
Si 1.4931 -4.0811 -4.9961
Si -0.2686 -5.6217 -9.2798
Si 0.2938 -2.3994 -3.4642
Si -1.4886 -3.6466 -12.1415
Si 0.2693 -1.3110 0.3607
Si -2.9593 -4.4549 -3.0307
Si -4.0753 -4.9818 -9.5879
Si -4.7210 -5.9954 -7.3143
Si 0.8474 -5.0947 -2.7226
Si -3.5217 -7.6771 -8.8462
Os -0.8746 -4.3844 -4.3307
Os -3.8197 -5.6023 -1.0833
Os -7.3137 -2.8585 -4.9289
Os -3.8947 -4.0646 -11.8642
Os 2.7594 -2.1313 -4.3303
Os -0.4405 -0.6214 -1.9295
Os -2.3534 -5.6922 -7.9798
Os 2.9785 -1.8274 -8.8648
Os 0.2819 -4.8762 -6.9816
Os -4.3734 -2.9070 -1.8250
Os -3.5098 -5.2003 -5.3289
Os 3.3130 -4.8266 -3.5886
```

# 2
# ThSi3Os

A relaxed ThSi3Os crystal (GGA-PBE, the Materials Project database).

Results
space-group type	No. 107

Geometry as extended XYZ:
```
5
Lattice="-2.7040 -2.9156 1.5138 1.5936 -2.8787 -2.6976 3.9218 1.5525 4.0156" Properties=species:S:1:pos:R:3 pbc="T T T"
Th 2.7765 -4.2278 2.7963
Si 2.8127 -1.1234 2.8604
Si 0.4208 -2.1659 2.5598
Si 2.5697 -2.1474 0.4541
Os 0.4876 -3.3136 0.4686
```

# 3
# TmSi2Os2

A relaxed TmSi2Os2 crystal (GGA-PBE, the Materials Project database).

Results
space-group type	No. 139

Geometry as extended XYZ:
```
5
Lattice="4.1789 0.0000 0.0000 0.0000 4.1789 0.0000 -2.0894 -2.0894 4.7759" Properties=species:S:1:pos:R:3 pbc="T T T"
Tm 0.0000 0.0000 0.0000
Si 0.0000 0.0000 3.5556
Si 2.0894 2.0894 1.2203
Os 2.0895 0.0000 2.3880
Os 0.0000 2.0895 2.3880
```

# 4
# USi2Os2

A relaxed USi2Os2 crystal (GGA-PBE, the Materials Project database).

Results
space-group type	No. 139

Geometry as extended XYZ:
```
5
Lattice="4.5016 1.6370 2.9482 -0.0429 -1.0926 5.5173 -0.9508 -2.8770 -4.7387" Properties=species:S:1:pos:R:3 pbc="T T T"
U 0.0000 0.0000 0.0000
Si 2.7854 0.3401 5.2886
Si 1.6733 0.2043 3.1770
Os 0.6179 -1.8487 2.5057
Os 2.8901 -0.4839 1.2212
```

# 5
# Y5Si14Os4

A relaxed Y5Si14Os4 crystal (GGA-PBE, the Materials Project database).

Results
space-group type	No. 14

Geometry as extended XYZ:
```
46
Lattice="-0.6185 6.5507 -4.6707 -4.8447 3.3652 5.3612 8.8239 5.9404 7.1630" Properties=species:S:1:pos:R:3 pbc="T T T"
Y 3.4967 9.8162 2.9034
Y 2.2912 4.3066 2.3057
Y -0.1360 6.0400 4.9502
Y 1.0696 11.5496 5.5478
Y 1.9819 7.6207 -0.0066
Y 3.8033 6.5316 5.1948
Y 1.3789 8.2356 7.8602
Y -0.4425 9.3246 2.6588
Y -0.3092 3.2753 -2.3354
Y -2.4224 1.6826 2.6806
Si 1.3836 11.9089 2.5829
Si -0.7541 8.9018 5.6185
Si 1.9772 3.9474 5.2706
Si 4.1148 6.9545 2.2351
Si 1.7565 7.2393 2.9415
Si 4.3351 3.6676 4.5607
Si 1.6043 8.6170 4.9121
Si -0.9743 12.1887 3.2928
Si 3.2556 7.6791 10.2660
Si -2.0144 6.6530 2.5547
Si 0.1052 8.1772 -2.4124
Si 5.3752 9.2033 5.2989
Si 3.2316 10.7678 7.5969
Si -1.9935 3.5964 5.2009
Si 0.1292 5.0885 0.2566
Si 5.3542 12.2599 2.6527
Si 4.4608 8.5133 7.4580
Si -3.5584 9.4075 2.8039
Si 5.3878 10.3571 9.1790
Si -4.5513 8.2612 0.5856
Si -2.0270 5.4992 -1.3255
Si 7.9121 7.5951 7.2680
Si 6.5202 10.1520 2.5095
Si -0.7735 4.4074 2.3884
Si -3.1594 5.7042 5.3440
Si 4.1342 11.4489 5.4652
Si 6.9192 6.4488 5.0496
Si -1.1000 7.3430 0.3956
Os 4.5123 9.6913 11.2355
Os -3.4208 6.2256 0.4552
Os -1.1515 6.1650 -3.3819
Os 6.7815 9.6307 7.3983
Os 5.9828 7.9140 3.3512
Os -0.5077 9.5219 -0.5043
Os -2.6221 7.9423 4.5024
Os 3.8684 6.3343 8.3578
```

# 6
# YSi2Os2

A relaxed YSi2Os2 crystal (GGA-PBE, the Materials Project database).

Results
space-group type	No. 139

Geometry as extended XYZ:
```
5
Lattice="4.1925 0.0000 0.0000 0.0000 4.1925 0.0000 -2.0962 -2.0962 4.8254" Properties=species:S:1:pos:R:3 pbc="T T T"
Y 0.0000 0.0000 0.0000
Si 0.0000 0.0000 3.5796
Si 2.0962 2.0962 1.2458
Os 2.0962 0.0000 2.4127
Os 0.0000 2.0962 2.4127
```

| no. | calculated total energy (eV per atom) |
| --- | --- |
| 1 | -7.7434 |
| 2 | -7.6610 |
| 3 | -8.2707 |
| 4 | -9.4345 |
| 5 | -7.3009 |
| 6 | -8.6782 |